# Zr3V9Ge10

A geometry-optimized Zr3V9Ge10 structure (PBE, Materials Project).

a b c (Å): 18.427 5.130 7.853
angles (deg): 90.00 115.15 90.00
Space group Cm (No. 8)
Inequivalent atoms, fractional coordinates:
Zr (0.000, 0.000, 0.000)
Zr (0.000, 0.500, 0.235)
Zr (0.284, 0.500, 0.290)
V (0.078, 0.500, 0.940)
V (0.079, 0.000, 0.453)
V (0.206, 0.000, 0.067)
V (0.207, 0.500, 0.580)
V (0.286, 0.000, 0.520)
V (0.332, 0.250, 0.951)
V (0.452, 0.251, 0.570)
Ge (0.077, 0.500, 0.611)
Ge (0.078, 0.000, 0.780)
Ge (0.144, 0.247, 0.264)
Ge (0.208, 0.500, 0.911)
Ge (0.210, 0.000, 0.732)
Ge (0.353, 0.000, 0.273)
Ge (0.354, 0.500, 0.676)
Ge (0.427, 0.000, 0.837)
Ge (0.430, 0.500, 0.253)

Computed properties:
Size of the total moment (μB per cell): 0.6
ρ (g cm⁻³): 7.208

***

# Nb2Te4Cl10O

A geometry-optimized Nb2Te4Cl10O structure (PBE, Materials Project).

a b c (Å): 6.864 8.717 9.236
angles (deg): 80.80 88.93 74.76
Space group P-1 (No. 2)
Inequivalent atoms, fractional coordinates:
Nb (0.013, 0.143, 0.135)
Te (0.316, 0.596, 0.335)
Te (0.417, 0.304, 0.512)
Cl (0.043, 0.327, 0.311)
Cl (0.114, 0.017, 0.671)
Cl (0.157, 0.298, 0.954)
Cl (0.318, 0.699, 0.925)
Cl (0.352, 0.978, 0.215)
O (0.000, 0.000, 0.000)

Computed properties:
Corrected total energy (MP2020 scheme) (eV per atom): -4.3408
Size of the total moment (μB per cell): 0.0
ρ (g cm⁻³): 3.367

***

# Be2CoIr

A geometry-optimized Be2CoIr structure (PBE, Materials Project).

a b c (Å): 5.430 5.430 5.430
angles (deg): 90.00 90.00 90.00
Space group Fm-3m (No. 225)
Inequivalent atoms, fractional coordinates:
Be (0.250, 0.250, 0.250)
Co (0.000, 0.000, 0.000)
Ir (0.000, 0.000, 0.500)

Computed properties:
ρ (g cm⁻³): 11.168

***

# Mg5Si9

A geometry-optimized Mg5Si9 structure (PBE, Materials Project).

a b c (Å): 5.844 7.189 12.963
angles (deg): 86.39 77.21 70.83
Space group P1 (No. 1)
Inequivalent atoms, fractional coordinates:
Mg (0.000, 0.000, 0.000)
Mg (0.002, 0.615, 0.892)
Mg (0.020, 0.914, 0.470)
Mg (0.417, 0.810, 0.819)
Mg (0.438, 0.603, 0.318)
Mg (0.514, 0.981, 0.008)
Mg (0.563, 0.291, 0.152)
Mg (0.636, 0.477, 0.512)
Mg (0.720, 0.337, 0.862)
Mg (0.968, 0.537, 0.295)
Si (0.136, 0.470, 0.490)
Si (0.146, 0.138, 0.213)
Si (0.160, 0.806, 0.182)
Si (0.161, 0.357, 0.057)
Si (0.187, 0.759, 0.666)
Si (0.200, 0.253, 0.643)
Si (0.229, 0.228, 0.868)
Si (0.313, 0.198, 0.365)
Si (0.390, 0.630, 0.015)
Si (0.431, 0.423, 0.719)
Si (0.522, 0.923, 0.603)
Si (0.582, 0.879, 0.408)
Si (0.721, 0.893, 0.193)
Si (0.744, 0.599, 0.103)
Si (0.752, 0.208, 0.343)
Si (0.811, 0.943, 0.800)
Si (0.835, 0.150, 0.651)
Si (0.839, 0.631, 0.671)

Computed properties:
Corrected total energy (MP2020 scheme) (eV per atom): -3.8394
Size of the total moment (μB per cell): 0.0
ρ (g cm⁻³): 2.478

***

# Sc2CrB2Rh5

A geometry-optimized Sc2CrB2Rh5 structure (PBE, Materials Project).

a b c (Å): 9.383 9.383 3.076
angles (deg): 90.00 90.00 90.00
Space group P4/mbm (No. 127)
Inequivalent atoms, fractional coordinates:
Sc (0.176, 0.324, 0.000)
Cr (0.000, 0.000, 0.000)
B (0.123, 0.623, 0.000)
Rh (0.000, 0.500, 0.500)
Rh (0.071, 0.781, 0.500)

Computed properties:
Size of the total moment (μB per cell): 5.7
ρ (g cm⁻³): 8.316

***

# Ba4Ti5PbO15

A geometry-optimized Ba4Ti5PbO15 structure (PBE, Materials Project).

a b c (Å): 4.022 4.022 20.103
angles (deg): 90.00 90.00 90.00
Space group P4/mmm (No. 123)
Inequivalent atoms, fractional coordinates:
Ba (0.000, 0.000, 0.100)
Ba (0.000, 0.000, 0.301)
Ti (0.500, 0.500, 0.000)
Ti (0.500, 0.500, 0.200)
Ti (0.500, 0.500, 0.401)
Pb (0.000, 0.000, 0.500)
O (0.000, 0.500, 0.000)
O (0.000, 0.500, 0.200)
O (0.000, 0.500, 0.401)
O (0.500, 0.500, 0.100)
O (0.500, 0.500, 0.300)
O (0.500, 0.500, 0.500)

Computed properties:
Corrected total energy (MP2020 scheme) (eV per atom): -8.3222
Size of the total moment (μB per cell): 0.0
ρ (g cm⁻³): 6.310

***

# Mg14NbCu

A geometry-optimized Mg14NbCu structure (PBE, Materials Project).

a b c (Å): 9.928 6.263 10.921
angles (deg): 90.00 90.00 90.00
Space group Amm2 (No. 38)
Inequivalent atoms, fractional coordinates:
Mg (0.000, 0.000, 0.000)
Mg (0.000, 0.000, 0.499)
Mg (0.000, 0.249, 0.251)
Mg (0.253, 0.000, 0.662)
Mg (0.261, 0.000, 0.162)
Mg (0.263, 0.249, 0.421)
Mg (0.500, 0.244, 0.753)
Nb (0.500, 0.000, 0.505)
Cu (0.500, 0.000, 0.998)

Computed properties:
Size of the total moment (μB per cell): 0.0
ρ (g cm⁻³): 2.429

***

# HfAlNi

A geometry-optimized HfAlNi structure (PBE, Materials Project).

a b c (Å): 6.7949 6.7949 3.5120
angles (deg): 90.00 90.00 120.00
Space group P-62m (No. 189)
Inequivalent atoms, fractional coordinates:
Hf (0.0000, 0.5906, 0.0000)
Al (0.0000, 0.2472, 0.5000)
Ni (0.0000, 0.0000, 0.0000)
Ni (0.3333, 0.6667, 0.5000)

Computed properties:
ρ (g cm⁻³): 9.371

***

no.,energy of formation from the pure elements (meV per atom),calculated total energy (eV/atom)
1,-487,-7.470
2,-1034,-4.300
3,-465,-6.322
4,220,-3.885
5,-679,-7.929
6,-3319,-7.910
7,88,-2.199
8,-647,-7.141